Compound: NpCr2Ge2
Source: the Materials Project
Functional: PBE-GGA
Structure: relaxed

a b c (Å): 6.1902 6.1902 6.1902
angles (deg): 143.41 143.41 52.71
Closest atoms and distances in Å follow each position.
Fractional coordinates of all 5 atoms:
Np (0.0000, 0.0000, 0.0000)  8 Ge 3.03, 8 Cr 3.39
Cr (0.2500, 0.7500, 0.5000)  4 Ge 2.45
Cr (0.7500, 0.2500, 0.5000)  4 Ge 2.45
Ge (0.3845, 0.3845, 0.0000)  4 Cr 2.45, 1 Ge 2.56
Ge (0.6155, 0.6155, 0.0000)  4 Cr 2.45, 1 Ge 2.56

Output
DFT total energy, hartree per atom: -0.298
Formation energy from the elements, meV per atom: 185
Magnetic moment, μB per cell: 1.82
Crystal system: tetragonal
Space group: No. 139